! KLaF4 r²SCAN optimized geometry; values from VASP
! Energy relative to the elements (eV/atom): -4.016
! Space group: Cm, No. 8
&SYSTEM
  ibrav = 0, nat = 18, ntyp = 3
/
ATOMIC_SPECIES
K 39.10 K.upf
La 138.91 La.upf
F 19.00 F.upf
ATOMIC_POSITIONS crystal
K 0.000 0.000 0.000
K 0.516 0.516 0.994
K 0.675 0.675 0.666
La 0.092 0.592 0.334
La 0.176 0.176 0.670
La 0.592 0.092 0.334
F 0.099 0.548 0.698
F 0.215 0.215 0.332
F 0.265 0.821 0.378
F 0.347 0.347 0.087
F 0.384 0.938 0.934
F 0.458 0.458 0.562
F 0.548 0.099 0.698
F 0.725 0.725 0.335
F 0.821 0.265 0.378
F 0.840 0.840 0.102
F 0.938 0.384 0.934
F 0.966 0.966 0.589
CELL_PARAMETERS angstrom
6.480 -3.777 0.000
6.480 3.777 0.000
-3.271 0.000 5.647